Entry 1:
A relaxed CoH2C2O4 crystal, computed with GGA+U.

Cell and atoms, written as extended XYZ:
```
108
Lattice="9.987 0.000 0.000 0.000 11.414 0.000 0.000 11.056 14.726" Properties=species:S:1:pos:R:3 pbc="T T T"
Co 1.116 14.123 10.156
Co 4.202 14.110 9.326
Co 0.000 5.707 0.000
Co 0.791 8.583 1.963
Co 4.993 11.235 7.363
Co 4.993 5.528 7.363
Co 3.878 8.595 2.793
Co 8.871 8.346 4.570
Co 9.196 13.887 12.763
Co 5.784 8.359 5.400
Co 0.000 0.000 0.000
Co 6.109 13.874 11.933
O 7.539 9.521 5.769
O 6.029 17.164 9.164
O 8.007 13.333 11.115
O 1.035 10.834 12.925
O 0.065 5.198 2.021
O 5.058 11.743 5.342
O 4.157 7.301 4.498
O 4.929 10.726 9.385
O 3.958 5.306 5.562
O 8.757 6.867 6.007
O 9.931 7.129 3.188
O 1.145 1.667 0.470
O 5.049 12.657 10.551
O 0.263 14.634 14.352
O 6.223 12.395 13.370
O 9.395 13.273 9.318
O 9.723 7.836 0.374
O 0.591 9.196 5.408
O 2.919 11.451 7.318
O 3.849 7.195 7.833
O 5.257 13.364 7.737
O 6.138 15.274 6.893
O 8.951 11.636 1.801
O 9.150 9.640 2.865
O 9.922 17.271 12.705
O 7.913 5.491 0.045
O 2.546 7.421 1.594
O 4.402 14.724 12.771
O 1.542 10.199 0.896
O 0.056 15.341 11.538
O 1.980 9.137 3.611
O 2.448 12.949 8.957
O 7.441 15.049 13.132
O 5.830 15.168 10.228
O 3.764 10.075 1.356
O 3.013 14.665 10.974
O 8.445 12.271 13.830
O 4.730 9.106 6.989
O 4.937 9.813 4.175
O 5.585 7.745 1.955
O 6.974 7.805 3.752
O 7.068 11.019 7.408
O 2.074 16.979 14.681
O 8.842 20.802 14.256
O 6.535 6.743 6.467
O 3.451 15.727 8.259
O 0.837 12.829 11.861
O 1.230 15.603 8.719
H 2.953 11.386 0.048
H 5.323 10.829 11.372
H 2.447 15.245 12.835
H 2.040 11.319 11.240
H 1.648 3.526 1.097
H 7.946 5.555 7.316
H 7.440 12.752 9.254
H 6.037 16.110 14.141
H 7.540 7.225 1.891
H 7.034 11.083 14.679
H 2.547 9.717 5.472
H 9.657 5.301 4.009
H 0.330 17.168 10.717
H 3.346 9.054 8.460
H 7.947 11.150 3.486
H 8.339 18.944 13.629
H 4.664 11.640 3.354
H 3.949 6.360 0.585
H 2.040 16.914 7.411
H 6.641 13.416 6.266
H 1.044 11.887 7.948
H 7.033 16.678 10.849
H 2.954 5.792 3.877
H 8.943 10.582 6.778
C 6.027 14.032 6.943
C 3.960 8.437 7.783
C 3.684 6.116 4.647
C 5.103 11.377 10.438
C 1.034 2.910 0.420
C 8.953 19.560 14.306
C 6.702 7.589 2.512
C 6.303 16.353 10.079
C 3.284 14.881 12.214
C 8.677 10.826 2.716
C 2.128 12.085 8.060
C 2.775 10.560 0.759
C 2.865 6.557 0.696
C 8.278 13.117 9.875
C 0.109 16.620 11.651
C 7.858 10.385 6.667
C 7.212 11.909 13.967
C 2.219 16.088 8.122
C 1.310 11.644 12.010
C 7.122 15.913 14.030
C 7.768 6.381 6.604
C 4.884 11.092 4.288
C 9.878 5.850 3.075
C 1.709 9.353 4.851
```

**Crystal system**: monoclinic
**E_tot**: -58.49 eV per formula unit
**Calculated formation energy**: -1193 meV per atom


Entry 2:
A relaxed CoH4C2O6 crystal, computed with GGA+U.

Cell and atoms, written as extended XYZ:
```
52
Lattice="-6.461 -2.189 0.708 1.563 1.007 7.916 -1.092 9.526 -3.993" Properties=species:S:1:pos:R:3 pbc="T T T"
O -3.856 6.934 0.539
O -4.865 -1.422 1.029
O -2.180 4.436 -1.322
O -0.986 8.770 1.057
O -3.733 5.932 -1.980
O -3.670 2.913 3.408
O -2.321 5.431 1.223
O -2.639 2.495 0.894
O -2.594 -0.520 6.292
O 0.425 2.180 5.379
O -5.912 5.078 2.449
O -6.416 6.164 -0.748
O -6.082 3.006 0.690
O -3.811 3.908 5.952
O -3.397 8.863 -1.661
O 0.091 5.338 3.941
O 0.426 8.269 4.260
O -2.258 2.412 6.611
O -5.005 -0.427 3.574
O -6.418 0.074 0.371
O -3.352 5.848 3.737
O -2.135 1.410 4.092
O -1.126 9.765 3.602
O -0.079 3.265 2.182
H -5.517 -0.134 5.251
H -7.004 5.820 -1.470
H -3.227 2.152 0.173
H 0.036 4.477 3.451
H -5.822 3.133 -0.259
H -6.027 3.866 1.180
H -0.169 5.211 4.890
H -2.832 5.724 2.901
H -2.046 -0.535 1.384
H 1.013 2.524 6.101
H -2.250 0.198 2.823
H -3.945 8.879 3.247
H -0.474 8.478 -0.620
H -3.159 2.620 1.730
H -2.764 6.192 4.458
H -3.741 8.146 1.808
C -0.322 8.806 3.390
C -3.007 2.948 5.741
C -2.984 5.395 -1.110
C -0.248 8.233 1.939
C -5.743 0.111 2.692
C -5.669 -0.462 1.241
C -2.932 2.375 4.290
C -3.059 5.968 0.341
Co -1.131 3.846 0.438
Co -4.860 4.497 4.193
Co -4.908 7.515 -1.205
Co -1.083 0.829 5.836
```

**E_tot**: -81.40 eV per formula unit
**Calculated formation energy**: -1410 meV per atom


Entry 3:
A relaxed CoH8C2O8 crystal, computed with GGA+U.

Cell and atoms, written as extended XYZ:
```
57
Lattice="-0.931 -1.371 6.038 -1.151 -8.643 0.708 9.894 -4.820 1.616" Properties=species:S:1:pos:R:3 pbc="T T T"
H 7.189 -12.858 3.779
H 5.971 -12.200 3.034
H -1.116 -3.352 6.054
H 8.928 -11.483 2.310
H 6.022 -7.173 1.513
H 3.352 -5.661 2.137
H 6.014 -9.955 2.891
H 4.037 -5.460 5.860
H 4.858 -6.873 5.979
H 2.954 -7.961 2.384
H 7.414 -13.360 6.955
H 7.494 -11.058 6.937
H 0.623 -1.976 4.584
H 6.631 -9.697 6.514
H 1.181 -5.137 1.849
H 3.191 -2.880 0.815
H 4.622 -11.954 7.548
H 3.775 -9.374 2.503
H 1.798 -4.879 5.472
H 1.841 -2.634 5.329
H 4.460 -9.173 6.226
H 1.790 -7.662 6.850
H 0.399 -1.474 1.408
H 0.318 -3.776 1.427
C 7.130 -7.781 3.966
C 0.682 -7.053 4.398
C 3.710 -11.398 5.112
C -0.204 -7.758 3.344
C 4.102 -3.436 3.251
C 8.016 -7.076 5.019
O 3.159 -2.786 2.705
O 4.873 -5.938 5.646
O 0.312 -4.665 1.894
O 4.654 -12.048 5.658
O 7.862 -12.604 7.413
O 7.450 -4.416 2.698
O 6.279 -7.051 3.358
O 4.479 -4.604 2.927
O 5.174 -8.570 6.567
O 1.533 -7.784 5.005
O 7.500 -10.169 6.469
O 5.326 -10.535 2.470
O 0.519 -5.815 4.587
O -1.086 -7.066 2.747
O 7.787 -5.845 5.207
O 0.025 -8.989 3.156
O 7.293 -9.020 3.776
O 3.333 -10.230 5.436
O 2.638 -6.265 1.796
O -0.050 -2.231 0.950
O 8.898 -7.768 5.616
O 0.362 -10.418 5.665
O 2.487 -4.300 5.894
O 2.939 -8.896 2.717
Co 1.710 -9.613 4.232
Co -1.041 -5.007 3.373
Co 6.102 -5.221 4.131
```

**Crystal system**: triclinic
**E_tot**: -110.94 eV per formula unit
**Calculated formation energy**: -1357 meV per atom